Record 1
This record from the Materials Project database describes a relaxed NaYIrO4 crystal. The functional is PBE. Values from VASP.

Properties
Volume in Å³ per cell: 253.0
E_form in kJ/mol of formula units: -1563
MP2020-corrected energy in eV/atom: -7.517
Electronic total energy in eV/f.u.: -49.87

Structure (Quantum ESPRESSO input):
```
&SYSTEM
  ibrav = 0, nat = 21, ntyp = 4
/
ATOMIC_SPECIES
O 16.00 O.upf
Na 22.99 Na.upf
Y 88.91 Y.upf
Ir 192.22 Ir.upf
CELL_PARAMETERS angstrom
-6.155 0.496 7.083
-2.227 -5.210 -7.497
1.392 -2.596 1.391
ATOMIC_POSITIONS angstrom
O -5.045 -3.824 -2.090
O -5.149 -0.748 3.756
O -4.317 -6.278 -3.584
O -0.524 -1.272 1.964
O 0.182 -2.299 -0.659
O -5.996 -5.062 0.365
O -3.017 -3.845 -4.158
O -6.461 -3.163 4.375
O -3.821 -3.839 0.473
O -6.024 -2.401 1.544
O -2.580 -2.221 -1.565
O -3.345 -1.111 1.273
Na -8.227 -4.627 -0.406
Na -3.602 -0.952 5.640
Na -0.860 -4.936 -4.538
Y -4.284 -2.739 2.989
Y -1.807 -2.705 0.572
Y -2.934 -4.700 -2.022
Ir -0.742 -1.699 -2.429
Ir -5.599 -3.149 -0.276
Ir -2.014 0.149 2.293
```

Record 2
This record from the Materials Project database describes a relaxed NbIr crystal. The functional is PBE. Values from VASP.

Properties
Volume in Å³ per cell: 32.4
E_form in kJ/mol of formula units: -100
Electronic total energy in eV/f.u.: -19.98

Structure (Quantum ESPRESSO input):
```
&SYSTEM
  ibrav = 0, nat = 2, ntyp = 2
/
ATOMIC_SPECIES
Nb 92.91 Nb.upf
Ir 192.22 Ir.upf
CELL_PARAMETERS angstrom
-1.557 1.656 -1.775
-2.301 -0.335 1.706
1.046 3.158 2.030
ATOMIC_POSITIONS angstrom
Nb -1.406 2.240 0.981
Ir 0.000 0.000 0.000
```

Record 3
This record from the Materials Project database describes a relaxed NbIr3 crystal. The functional is PBE. Values from VASP.

Properties
Volume in Å³ per cell: 60.8
E_form in kJ/mol of formula units: -233
Electronic total energy in eV/f.u.: -39.03

Structure (Quantum ESPRESSO input):
```
&SYSTEM
  ibrav = 0, nat = 4, ntyp = 2
/
ATOMIC_SPECIES
Ir 192.22 Ir.upf
Nb 92.91 Nb.upf
CELL_PARAMETERS angstrom
-2.969 -1.074 2.342
-1.289 -2.476 -2.769
2.231 -2.859 1.518
ATOMIC_POSITIONS angstrom
Ir 0.471 -2.667 -0.625
Ir -2.129 -1.775 -0.213
Ir -0.369 -1.966 1.930
Nb 0.000 0.000 0.000
```

Record 4
This record from the Materials Project database describes a relaxed NbIr crystal. The functional is PBE. Values from VASP.

Properties
Volume in Å³ per cell: 195.4
E_form in kJ/mol of formula units: -99
Electronic total energy in eV/f.u.: -19.97

Structure (Quantum ESPRESSO input):
```
&SYSTEM
  ibrav = 0, nat = 12, ntyp = 2
/
ATOMIC_SPECIES
Nb 92.91 Nb.upf
Ir 192.22 Ir.upf
CELL_PARAMETERS angstrom
-0.170 -2.867 -0.010
4.183 -0.257 2.529
-7.172 0.386 11.902
ATOMIC_POSITIONS angstrom
Nb -1.608 0.085 3.087
Nb 2.225 -0.141 2.717
Nb -1.381 0.043 11.344
Nb -5.214 0.270 11.714
Nb -0.150 -0.014 6.657
Nb -2.840 0.142 7.774
Ir 0.061 -1.447 1.437
Ir -3.221 -1.291 12.984
Ir -2.329 -1.319 5.404
Ir -3.532 -1.263 10.090
Ir 0.373 -1.476 4.331
Ir -0.831 -1.420 9.017
```